*i*
Computed, not measured: a relaxed BaHoFe4O7 crystal at the PBE with a Hubbard U level of DFT.

Structure (CIF):
```
data_BaHoFe4O7
_chemical_formula_sum 'Ba4 Ho4 Fe16 O28'
_cell_length_a 9.177
_cell_length_b 9.177
_cell_length_c 9.177
_cell_angle_alpha 90.00
_cell_angle_beta 90.00
_cell_angle_gamma 90.00
_space_group_name_H-M_alt 'F -4 3 m'
_space_group_IT_number 216
_space_group_name_Hall 'F -4 2 3'
loop_
_atom_site_label
_atom_site_type_symbol
_atom_site_fract_x
_atom_site_fract_y
_atom_site_fract_z
Ba1 Ba 0.000 0.000 0.000
Ho1 Ho 0.250 0.250 0.750
Fe1 Fe 0.132 0.132 0.368
O1 O 0.000 0.000 0.500
O2 O 0.004 0.250 0.750
```

Results
calculated volume: 14.865 Å³/atom
spin magnetization: 68.00 μB/cell

***

*ii*
Computed, not measured: a relaxed BaHoFe4O7 crystal at the PBE with a Hubbard U level of DFT.

Structure (CIF):
```
data_BaHoFe4O7
_chemical_formula_sum 'Ba2 Ho2 Fe8 O14'
_cell_length_a 6.289
_cell_length_b 9.350
_cell_length_c 6.408
_cell_angle_alpha 90.00
_cell_angle_beta 91.65
_cell_angle_gamma 90.00
_space_group_name_H-M_alt 'P 1 21 1'
_space_group_IT_number 4
loop_
_space_group_symop_operation_xyz
'x,y,z'
'-x,y+1/2,-z'
loop_
_atom_site_label
_atom_site_type_symbol
_atom_site_fract_x
_atom_site_fract_y
_atom_site_fract_z
Ba1 Ba 0.240 0.000 0.233
Ho1 Ho 0.255 0.250 0.751
Fe1 Fe 0.004 0.866 0.768
Fe2 Fe 0.231 0.619 0.506
Fe3 Fe 0.271 0.624 0.999
Fe4 Fe 0.478 0.855 0.718
O1 O 0.033 0.772 0.035
O2 O 0.050 0.229 0.451
O3 O 0.236 0.489 0.751
O4 O 0.239 0.999 0.759
O5 O 0.246 0.487 0.246
O6 O 0.444 0.774 0.436
O7 O 0.455 0.224 0.046
```

Results
calculated volume: 14.488 Å³/atom
spin magnetization: 14.00 μB/cell

***

Stability, highest: *ii*